(1)
{
  "formula": "PrAlZn",
  "functional": "GGA-PBE",
  "state": "optimized geometry",
  "lattice": [[2.319, 5.346, 0.000], [-2.319, 5.346, 0.000], [0.000, 5.229, 5.471]],
  "species": ["Pr", "Pr", "Al", "Al", "Zn", "Zn"],
  "fractional_positions": [[0.535, 0.535, 0.211], [0.465, 0.465, 0.789], [0.163, 0.163, 0.391], [0.837, 0.837, 0.609], [0.836, 0.836, 0.219], [0.164, 0.164, 0.781]],
  "crystal_system": "monoclinic",
  "density_g_cm3": 5.712,
  "spacegroup": "No. 12",
  "delta_e_f_ev_per_atom": -0.4291
}

---

(2)
{
  "formula": "PrAl2Zn2",
  "functional": "GGA-PBE",
  "state": "optimized geometry",
  "lattice": [[4.216, 0.000, 0.000], [0.000, 4.216, 0.000], [-2.108, -2.108, 5.516]],
  "species": ["Pr", "Al", "Al", "Zn", "Zn"],
  "fractional_positions": [[0.000, 0.000, 0.000], [0.750, 0.250, 0.500], [0.250, 0.750, 0.500], [0.612, 0.612, 0.223], [0.388, 0.388, 0.777]],
  "crystal_system": "tetragonal",
  "density_g_cm3": 5.517,
  "spacegroup": "No. 139",
  "delta_e_f_ev_per_atom": -0.4447
}

---

(3)
{
  "formula": "AlPt3",
  "functional": "GGA-PBE",
  "state": "optimized geometry",
  "lattice": [[3.987, 3.820, 0.276], [-5.156, 1.486, -1.456], [-3.091, 2.975, 3.487]],
  "species": ["Al", "Al", "Pt", "Pt", "Pt", "Pt", "Pt", "Pt"],
  "fractional_positions": [[0.750, 0.500, 0.750], [0.250, 0.500, 0.250], [0.250, 0.500, 0.750], [0.750, 0.500, 0.250], [0.280, 0.000, 0.780], [0.720, 0.000, 0.220], [0.220, 0.000, 0.280], [0.780, 0.000, 0.720]],
  "crystal_system": "tetragonal",
  "density_g_cm3": 16.826,
  "spacegroup": "No. 140",
  "delta_e_f_ev_per_atom": -0.6901
}

---

(4)
{
  "formula": "AlPt3",
  "functional": "GGA-PBE",
  "state": "optimized geometry",
  "lattice": [[5.518, 0.000, 0.000], [0.000, 5.518, 0.000], [0.000, 0.000, 7.948]],
  "species": ["Al", "Al", "Al", "Al", "Pt", "Pt", "Pt", "Pt", "Pt", "Pt", "Pt", "Pt", "Pt", "Pt", "Pt", "Pt"],
  "fractional_positions": [[0.500, 0.000, 0.242], [0.000, 0.500, 0.242], [0.500, 0.000, 0.758], [0.000, 0.500, 0.758], [0.278, 0.222, 0.000], [0.778, 0.278, 0.000], [0.222, 0.722, 0.000], [0.722, 0.778, 0.000], [0.000, 0.000, 0.252], [0.500, 0.500, 0.252], [0.696, 0.196, 0.500], [0.196, 0.304, 0.500], [0.804, 0.696, 0.500], [0.304, 0.804, 0.500], [0.000, 0.000, 0.748], [0.500, 0.500, 0.748]],
  "crystal_system": "tetragonal",
  "density_g_cm3": 16.801,
  "spacegroup": "No. 127",
  "delta_e_f_ev_per_atom": -0.6925
}

---

(5)
{
  "formula": "AlPt3",
  "functional": "GGA-PBE",
  "state": "optimized geometry",
  "lattice": [[0.000, 0.000, 3.942], [5.534, 0.000, 0.000], [0.000, 5.534, 0.000]],
  "species": ["Al", "Al", "Pt", "Pt", "Pt", "Pt", "Pt", "Pt"],
  "fractional_positions": [[0.500, 0.000, 0.500], [0.500, 0.500, 0.000], [0.000, 0.763, 0.263], [0.000, 0.237, 0.737], [0.000, 0.263, 0.237], [0.000, 0.737, 0.763], [0.500, 0.500, 0.500], [0.500, 0.000, 0.000]],
  "crystal_system": "tetragonal",
  "density_g_cm3": 16.841,
  "spacegroup": "No. 127",
  "delta_e_f_ev_per_atom": -0.6790
}

---

(6)
{
  "formula": "Al21Pt8",
  "functional": "GGA-PBE",
  "state": "optimized geometry",
  "lattice": [[-3.328, -5.948, 8.225], [-5.283, 8.941, -2.499], [-1.145, -6.306, -8.546]],
  "species": ["Al", "Al", "Al", "Al", "Al", "Al", "Al", "Al", "Al", "Al", "Al", "Al", "Al", "Al", "Al", "Al", "Al", "Al", "Al", "Al", "Al", "Al", "Al", "Al", "Al", "Al", "Al", "Al", "Al", "Al", "Al", "Al", "Al", "Al", "Al", "Al", "Al", "Al", "Al", "Al", "Al", "Al", "Pt", "Pt", "Pt", "Pt", "Pt", "Pt", "Pt", "Pt", "Pt", "Pt", "Pt", "Pt", "Pt", "Pt", "Pt", "Pt"],
  "fractional_positions": [[0.500, 0.500, 0.000], [0.750, 0.250, 0.500], [0.189, 0.047, 0.037], [0.297, 0.760, 0.357], [0.403, 0.939, 0.643], [0.010, 0.153, 0.963], [0.061, 0.703, 0.463], [0.953, 0.990, 0.143], [0.847, 0.811, 0.857], [0.240, 0.597, 0.537], [0.140, 0.304, 0.340], [0.554, 0.713, 0.663], [0.050, 0.890, 0.337], [0.963, 0.800, 0.660], [0.110, 0.446, 0.160], [0.696, 0.037, 0.837], [0.200, 0.860, 0.163], [0.287, 0.950, 0.840], [0.265, 0.256, 0.572], [0.506, 0.434, 0.491], [0.943, 0.015, 0.509], [0.684, 0.693, 0.428], [0.985, 0.494, 0.928], [0.744, 0.316, 0.009], [0.307, 0.735, 0.991], [0.566, 0.057, 0.072], [0.489, 0.261, 0.791], [0.511, 0.220, 0.272], [0.948, 0.239, 0.728], [0.470, 0.698, 0.209], [0.761, 0.489, 0.709], [0.739, 0.530, 0.228], [0.302, 0.511, 0.772], [0.780, 0.052, 0.291], [0.203, 0.180, 0.838], [0.430, 0.093, 0.478], [0.615, 0.953, 0.522], [0.343, 0.365, 0.162], [0.047, 0.570, 0.662], [0.820, 0.657, 0.022], [0.635, 0.797, 0.978], [0.907, 0.385, 0.338], [0.035, 0.312, 0.538], [0.562, 0.524, 0.777], [0.747, 0.785, 0.223], [0.774, 0.497, 0.462], [0.215, 0.438, 0.962], [0.688, 0.226, 0.723], [0.503, 0.965, 0.277], [0.476, 0.253, 0.038], [0.993, 0.610, 0.187], [0.860, 0.173, 0.116], [0.057, 0.743, 0.884], [0.423, 0.807, 0.813], [0.257, 0.140, 0.313], [0.390, 0.577, 0.384], [0.193, 0.007, 0.616], [0.827, 0.943, 0.687]],
  "crystal_system": "tetragonal",
  "density_g_cm3": 7.709,
  "spacegroup": "No. 88",
  "delta_e_f_ev_per_atom": -0.7565
}

---

(7)
{
  "formula": "AlPt",
  "functional": "GGA-PBE",
  "state": "optimized geometry",
  "lattice": [[-3.371, -0.154, 3.577], [3.562, -0.648, 3.328], [0.368, 4.872, 0.556]],
  "species": ["Al", "Al", "Al", "Al", "Pt", "Pt", "Pt", "Pt"],
  "fractional_positions": [[0.844, 0.844, 0.844], [0.656, 0.156, 0.344], [0.344, 0.656, 0.156], [0.156, 0.344, 0.656], [0.155, 0.155, 0.155], [0.345, 0.845, 0.655], [0.655, 0.345, 0.845], [0.845, 0.655, 0.345]],
  "crystal_system": "cubic",
  "density_g_cm3": 12.404,
  "spacegroup": "No. 198",
  "delta_e_f_ev_per_atom": -1.0424
}

---

(8)
{
  "formula": "AlPt",
  "functional": "GGA-PBE",
  "state": "optimized geometry",
  "lattice": [[-2.056, -2.307, -0.081], [0.104, -0.201, 3.083], [-2.306, 2.048, 0.211]],
  "species": ["Al", "Pt"],
  "fractional_positions": [[0.000, 0.000, 0.000], [0.500, 0.500, 0.500]],
  "crystal_system": "cubic",
  "density_g_cm3": 12.480,
  "spacegroup": "No. 221",
  "delta_e_f_ev_per_atom": -0.9317
}